Entry 1:
Here is an optimized crystal structure of ZrCuH8C2NCl6 from the Materials Project. Energies are from PBE. Values from VASP.

Cell and atoms, written as Quantum ESPRESSO input:
```
&SYSTEM
  ibrav = 0, nat = 76, ntyp = 6
/
ATOMIC_SPECIES
Zr 91.22 Zr.upf
Cu 63.55 Cu.upf
H 1.01 H.upf
C 12.01 C.upf
N 14.01 N.upf
Cl 35.45 Cl.upf
ATOMIC_POSITIONS crystal
Zr 0.249 0.247 0.001
Zr 0.249 0.253 0.501
Zr 0.751 0.747 0.499
Zr 0.751 0.753 0.999
Cu 0.244 0.200 0.739
Cu 0.244 0.300 0.239
Cu 0.756 0.700 0.761
Cu 0.756 0.800 0.261
H 0.102 0.726 0.276
H 0.102 0.774 0.776
H 0.116 0.607 0.797
H 0.116 0.893 0.297
H 0.174 0.657 0.637
H 0.174 0.843 0.137
H 0.199 0.723 0.973
H 0.199 0.777 0.473
H 0.288 0.713 0.215
H 0.288 0.787 0.715
H 0.320 0.692 0.424
H 0.320 0.808 0.924
H 0.323 0.610 0.749
H 0.323 0.890 0.249
H 0.326 0.626 0.943
H 0.326 0.874 0.443
H 0.674 0.126 0.557
H 0.674 0.374 0.057
H 0.677 0.110 0.751
H 0.677 0.390 0.251
H 0.680 0.192 0.076
H 0.680 0.308 0.576
H 0.712 0.213 0.285
H 0.712 0.287 0.785
H 0.801 0.223 0.527
H 0.801 0.277 0.027
H 0.826 0.157 0.863
H 0.826 0.343 0.363
H 0.884 0.107 0.703
H 0.884 0.393 0.203
H 0.898 0.226 0.224
H 0.898 0.274 0.724
C 0.244 0.687 0.719
C 0.244 0.813 0.219
C 0.261 0.715 0.919
C 0.261 0.785 0.419
C 0.739 0.215 0.581
C 0.739 0.285 0.081
C 0.756 0.187 0.781
C 0.756 0.313 0.281
N 0.171 0.695 0.801
N 0.171 0.805 0.301
N 0.829 0.195 0.699
N 0.829 0.305 0.199
Cl 0.064 0.096 0.395
Cl 0.064 0.404 0.895
Cl 0.098 0.161 0.105
Cl 0.098 0.339 0.605
Cl 0.145 0.072 0.844
Cl 0.145 0.428 0.344
Cl 0.352 0.073 0.645
Cl 0.352 0.427 0.145
Cl 0.385 0.163 0.387
Cl 0.385 0.337 0.887
Cl 0.417 0.081 0.094
Cl 0.417 0.419 0.594
Cl 0.583 0.581 0.406
Cl 0.583 0.919 0.906
Cl 0.615 0.663 0.113
Cl 0.615 0.837 0.613
Cl 0.648 0.573 0.855
Cl 0.648 0.927 0.355
Cl 0.855 0.572 0.656
Cl 0.855 0.928 0.156
Cl 0.902 0.661 0.395
Cl 0.902 0.839 0.895
Cl 0.936 0.596 0.105
Cl 0.936 0.904 0.605
CELL_PARAMETERS angstrom
10.669 0.000 0.000
0.000 9.807 0.000
-4.273 0.000 11.903
```

Values from the calculation:
* final energy: -4.837 eV/atom
* E (MP2020): -5.0312 eV per atom
* M_tot: 0.002 μB/f.u.
* V: 1245 Å³ per cell
* SG: P2_1/c



Entry 2:
Here is an optimized crystal structure of Sr5Bi3 from the Materials Project. Energies are from PBE. Values from VASP.

Cell and atoms, written as Quantum ESPRESSO input:
```
&SYSTEM
  ibrav = 0, nat = 16, ntyp = 2
/
ATOMIC_SPECIES
Sr 87.62 Sr.upf
Bi 208.98 Bi.upf
ATOMIC_POSITIONS crystal
Sr 0.000 0.251 0.250
Sr 0.000 0.749 0.750
Sr 0.251 0.000 0.250
Sr 0.251 0.251 0.750
Sr 0.333 0.667 0.000
Sr 0.333 0.667 0.500
Sr 0.667 0.333 0.000
Sr 0.667 0.333 0.500
Sr 0.749 0.000 0.750
Sr 0.749 0.749 0.250
Bi 0.000 0.391 0.750
Bi 0.000 0.609 0.250
Bi 0.391 0.000 0.750
Bi 0.391 0.391 0.250
Bi 0.609 0.000 0.250
Bi 0.609 0.609 0.750
CELL_PARAMETERS angstrom
9.778 0.000 0.000
-4.889 8.468 0.000
0.000 0.000 7.582
```

Values from the calculation:
* E above lowest polymorph: 0 meV per atom
* final energy: -3.388 eV/atom
* V: 628 Å³ per cell
* SG: P6_3/mcm



Entry 3:
Here is an optimized crystal structure of RuC4O4 from the Materials Project. Energies are from PBE. Values from VASP.

Cell and atoms, written as Quantum ESPRESSO input:
```
&SYSTEM
  ibrav = 0, nat = 108, ntyp = 3
/
ATOMIC_SPECIES
Ru 101.07 Ru.upf
C 12.01 C.upf
O 16.00 O.upf
ATOMIC_POSITIONS crystal
Ru 0.143 0.081 0.340
Ru 0.143 0.419 0.840
Ru 0.266 0.168 0.204
Ru 0.266 0.332 0.704
Ru 0.281 0.525 0.722
Ru 0.281 0.975 0.222
Ru 0.719 0.025 0.778
Ru 0.719 0.475 0.278
Ru 0.734 0.668 0.296
Ru 0.734 0.832 0.796
Ru 0.857 0.581 0.160
Ru 0.857 0.919 0.660
C 0.030 0.158 0.115
C 0.030 0.342 0.615
C 0.048 0.530 0.630
C 0.048 0.970 0.130
C 0.069 0.182 0.392
C 0.069 0.318 0.892
C 0.088 0.572 0.254
C 0.088 0.928 0.754
C 0.100 0.520 0.906
C 0.100 0.980 0.406
C 0.216 0.214 0.735
C 0.216 0.286 0.235
C 0.249 0.639 0.768
C 0.249 0.861 0.268
C 0.357 0.182 0.106
C 0.357 0.318 0.606
C 0.376 0.096 0.429
C 0.376 0.404 0.929
C 0.381 0.549 0.628
C 0.381 0.951 0.128
C 0.489 0.013 0.685
C 0.489 0.487 0.185
C 0.498 0.175 0.297
C 0.498 0.325 0.797
C 0.502 0.675 0.203
C 0.502 0.825 0.703
C 0.511 0.513 0.815
C 0.511 0.987 0.315
C 0.619 0.049 0.872
C 0.619 0.451 0.372
C 0.624 0.596 0.071
C 0.624 0.904 0.571
C 0.643 0.682 0.394
C 0.643 0.818 0.894
C 0.751 0.139 0.732
C 0.751 0.361 0.232
C 0.784 0.714 0.765
C 0.784 0.786 0.265
C 0.900 0.020 0.594
C 0.900 0.480 0.094
C 0.912 0.072 0.246
C 0.912 0.428 0.746
C 0.931 0.682 0.108
C 0.931 0.818 0.608
C 0.952 0.030 0.870
C 0.952 0.470 0.370
C 0.970 0.658 0.385
C 0.970 0.842 0.885
O 0.027 0.244 0.423
O 0.027 0.256 0.923
O 0.072 0.580 0.945
O 0.072 0.920 0.445
O 0.085 0.042 0.927
O 0.085 0.458 0.427
O 0.106 0.663 0.440
O 0.106 0.837 0.940
O 0.188 0.144 0.756
O 0.188 0.356 0.256
O 0.227 0.708 0.796
O 0.227 0.792 0.296
O 0.232 0.568 0.302
O 0.232 0.932 0.802
O 0.348 0.015 0.632
O 0.348 0.485 0.132
O 0.364 0.688 0.151
O 0.364 0.812 0.651
O 0.411 0.193 0.047
O 0.411 0.307 0.547
O 0.447 0.566 0.575
O 0.447 0.934 0.075
O 0.494 0.606 0.010
O 0.494 0.894 0.510
O 0.506 0.106 0.490
O 0.506 0.394 0.990
O 0.553 0.066 0.925
O 0.553 0.434 0.425
O 0.589 0.693 0.453
O 0.589 0.807 0.953
O 0.636 0.188 0.349
O 0.636 0.312 0.849
O 0.652 0.515 0.868
O 0.652 0.985 0.368
O 0.768 0.068 0.198
O 0.768 0.432 0.698
O 0.773 0.208 0.704
O 0.773 0.292 0.204
O 0.812 0.644 0.744
O 0.812 0.856 0.244
O 0.894 0.163 0.060
O 0.894 0.337 0.560
O 0.915 0.542 0.573
O 0.915 0.958 0.073
O 0.928 0.080 0.555
O 0.928 0.420 0.055
O 0.973 0.744 0.077
O 0.973 0.756 0.577
CELL_PARAMETERS angstrom
8.231 0.000 0.000
0.000 15.055 0.000
-5.405 0.000 14.477
```

Values from the calculation:
* E above lowest polymorph: 1 meV per atom
* final energy: -7.984 eV/atom
* E (MP2020): -8.2897 eV per atom
* M_tot: 0.013 μB/f.u.
* V: 1794 Å³ per cell
* SG: P2_1/c



Entry 4:
Here is an optimized crystal structure of DyBO3 from the Materials Project. Energies are from PBE. Values from VASP.

Cell and atoms, written as Quantum ESPRESSO input:
```
&SYSTEM
  ibrav = 0, nat = 60, ntyp = 3
/
ATOMIC_SPECIES
Dy 162.50 Dy.upf
B 10.81 B.upf
O 16.00 O.upf
ATOMIC_POSITIONS crystal
Dy 0.065 0.059 0.158
Dy 0.073 0.557 0.655
Dy 0.238 0.941 0.527
Dy 0.251 0.457 0.019
Dy 0.402 0.065 0.829
Dy 0.402 0.568 0.337
Dy 0.598 0.432 0.663
Dy 0.598 0.935 0.171
Dy 0.749 0.543 0.981
Dy 0.762 0.059 0.473
Dy 0.927 0.443 0.345
Dy 0.935 0.941 0.842
B 0.022 0.215 0.578
B 0.034 0.721 0.113
B 0.281 0.717 0.808
B 0.332 0.229 0.295
B 0.383 0.244 0.551
B 0.392 0.748 0.052
B 0.608 0.252 0.948
B 0.617 0.756 0.449
B 0.668 0.771 0.705
B 0.719 0.283 0.192
B 0.966 0.279 0.887
B 0.978 0.785 0.422
O 0.026 0.189 0.430
O 0.046 0.405 0.875
O 0.065 0.905 0.351
O 0.066 0.132 0.916
O 0.071 0.628 0.413
O 0.093 0.686 0.867
O 0.227 0.178 0.626
O 0.231 0.683 0.135
O 0.254 0.383 0.261
O 0.255 0.883 0.763
O 0.332 0.131 0.201
O 0.344 0.625 0.699
O 0.347 0.409 0.536
O 0.350 0.912 0.034
O 0.417 0.167 0.420
O 0.419 0.663 0.928
O 0.438 0.314 0.870
O 0.444 0.819 0.374
O 0.556 0.181 0.626
O 0.562 0.686 0.130
O 0.581 0.337 0.072
O 0.583 0.833 0.580
O 0.650 0.088 0.966
O 0.653 0.591 0.464
O 0.656 0.375 0.301
O 0.668 0.869 0.799
O 0.745 0.117 0.237
O 0.746 0.617 0.739
O 0.769 0.317 0.865
O 0.773 0.822 0.374
O 0.907 0.314 0.133
O 0.929 0.372 0.587
O 0.934 0.868 0.084
O 0.935 0.095 0.649
O 0.954 0.595 0.125
O 0.974 0.811 0.570
CELL_PARAMETERS angstrom
7.243 0.000 0.000
1.985 8.816 0.000
0.737 1.362 9.800
```

Values from the calculation:
* final energy: -8.312 eV/atom
* E (MP2020): -8.7239 eV per atom
* M_tot: 0.000 μB/f.u.
* V: 626 Å³ per cell
* SG: P-1



Entry 5:
Here is an optimized crystal structure of NaSi2BH2O7 from the Materials Project. Energies are from PBE. Values from VASP.

Cell and atoms, written as Quantum ESPRESSO input:
```
&SYSTEM
  ibrav = 0, nat = 26, ntyp = 5
/
ATOMIC_SPECIES
Na 22.99 Na.upf
Si 28.09 Si.upf
B 10.81 B.upf
H 1.01 H.upf
O 16.00 O.upf
ATOMIC_POSITIONS crystal
Na 0.122 0.000 0.047
Na 0.878 0.500 0.953
Si 0.223 0.679 0.367
Si 0.270 0.111 0.429
Si 0.730 0.611 0.571
Si 0.777 0.179 0.633
B 0.252 0.385 0.161
B 0.748 0.885 0.839
H 0.198 0.733 0.769
H 0.388 0.719 0.915
H 0.612 0.219 0.085
H 0.802 0.233 0.231
O 0.055 0.126 0.564
O 0.218 0.274 0.301
O 0.238 0.908 0.335
O 0.243 0.316 0.017
O 0.258 0.582 0.195
O 0.283 0.805 0.852
O 0.445 0.621 0.496
O 0.555 0.121 0.504
O 0.717 0.305 0.148
O 0.742 0.082 0.805
O 0.757 0.816 0.983
O 0.762 0.408 0.665
O 0.782 0.774 0.699
O 0.945 0.626 0.436
CELL_PARAMETERS angstrom
5.298 0.000 0.000
0.000 7.075 0.000
-0.168 0.000 8.458
```

Values from the calculation:
* final energy: -6.783 eV/atom
* piezoelectric modulus e_max: 0.906 C/m²
* E (MP2020): -7.1534 eV per atom
* M_tot: 0.000 μB/f.u.
* V: 317 Å³ per cell
* SG: P2_1



Entry 6:
Here is an optimized crystal structure of Tl4AuSe3 from the Materials Project. Energies are from PBE. Values from VASP.

Cell and atoms, written as Quantum ESPRESSO input:
```
&SYSTEM
  ibrav = 0, nat = 16, ntyp = 3
/
ATOMIC_SPECIES
Tl 204.38 Tl.upf
Au 196.97 Au.upf
Se 78.96 Se.upf
ATOMIC_POSITIONS crystal
Tl 0.001 0.501 0.199
Tl 0.197 0.999 0.500
Tl 0.303 0.803 0.801
Tl 0.499 0.697 0.500
Tl 0.501 0.303 0.500
Tl 0.697 0.197 0.199
Tl 0.803 0.001 0.500
Tl 0.999 0.499 0.801
Au 0.000 0.000 0.000
Au 0.500 0.500 0.000
Se 0.161 0.339 0.500
Se 0.250 0.250 0.000
Se 0.339 0.839 0.178
Se 0.661 0.161 0.822
Se 0.750 0.750 0.000
Se 0.839 0.661 0.500
CELL_PARAMETERS angstrom
-4.210 4.210 6.137
4.210 -4.210 6.137
4.210 4.210 -6.137
```

Values from the calculation:
* final energy: -3.033 eV/atom
* E (MP2020): -3.2105 eV per atom
* M_tot: 0.031 μB/f.u.
* V: 435 Å³ per cell
* SG: I4/mcm



Entry 7:
Here is an optimized crystal structure of Nd3AlNi8 from the Materials Project. Energies are from PBE. Values from VASP.

Cell and atoms, written as Quantum ESPRESSO input:
```
&SYSTEM
  ibrav = 0, nat = 24, ntyp = 3
/
ATOMIC_SPECIES
Nd 144.24 Nd.upf
Al 26.98 Al.upf
Ni 58.69 Ni.upf
ATOMIC_POSITIONS crystal
Nd 0.333 0.667 0.047
Nd 0.333 0.667 0.250
Nd 0.333 0.667 0.453
Nd 0.667 0.333 0.547
Nd 0.667 0.333 0.750
Nd 0.667 0.333 0.953
Al 0.000 0.000 0.000
Al 0.000 0.000 0.500
Ni 0.000 0.000 0.250
Ni 0.000 0.000 0.750
Ni 0.168 0.336 0.627
Ni 0.168 0.336 0.873
Ni 0.168 0.832 0.627
Ni 0.168 0.832 0.873
Ni 0.333 0.667 0.750
Ni 0.336 0.168 0.127
Ni 0.336 0.168 0.373
Ni 0.664 0.832 0.627
Ni 0.664 0.832 0.873
Ni 0.667 0.333 0.250
Ni 0.832 0.168 0.127
Ni 0.832 0.168 0.373
Ni 0.832 0.664 0.127
Ni 0.832 0.664 0.373
CELL_PARAMETERS angstrom
5.145 0.000 0.000
-2.573 4.456 0.000
0.000 0.000 16.273
```

Values from the calculation:
* final energy: -5.704 eV/atom
* M_tot: 0.050 μB/f.u.
* V: 373 Å³ per cell
* SG: P6_3/mmc



- Look up the final energy of the second one.
  -3.388 eV/atom



- Which of these has the lowest V?
  NaSi2BH2O7



Please write out number 4 again, unchanged.
Here is an optimized crystal structure of DyBO3 from the Materials Project. Energies are from PBE. Values from VASP.

Cell and atoms, written as Quantum ESPRESSO input:
```
&SYSTEM
  ibrav = 0, nat = 60, ntyp = 3
/
ATOMIC_SPECIES
Dy 162.50 Dy.upf
B 10.81 B.upf
O 16.00 O.upf
ATOMIC_POSITIONS crystal
Dy 0.065 0.059 0.158
Dy 0.073 0.557 0.655
Dy 0.238 0.941 0.527
Dy 0.251 0.457 0.019
Dy 0.402 0.065 0.829
Dy 0.402 0.568 0.337
Dy 0.598 0.432 0.663
Dy 0.598 0.935 0.171
Dy 0.749 0.543 0.981
Dy 0.762 0.059 0.473
Dy 0.927 0.443 0.345
Dy 0.935 0.941 0.842
B 0.022 0.215 0.578
B 0.034 0.721 0.113
B 0.281 0.717 0.808
B 0.332 0.229 0.295
B 0.383 0.244 0.551
B 0.392 0.748 0.052
B 0.608 0.252 0.948
B 0.617 0.756 0.449
B 0.668 0.771 0.705
B 0.719 0.283 0.192
B 0.966 0.279 0.887
B 0.978 0.785 0.422
O 0.026 0.189 0.430
O 0.046 0.405 0.875
O 0.065 0.905 0.351
O 0.066 0.132 0.916
O 0.071 0.628 0.413
O 0.093 0.686 0.867
O 0.227 0.178 0.626
O 0.231 0.683 0.135
O 0.254 0.383 0.261
O 0.255 0.883 0.763
O 0.332 0.131 0.201
O 0.344 0.625 0.699
O 0.347 0.409 0.536
O 0.350 0.912 0.034
O 0.417 0.167 0.420
O 0.419 0.663 0.928
O 0.438 0.314 0.870
O 0.444 0.819 0.374
O 0.556 0.181 0.626
O 0.562 0.686 0.130
O 0.581 0.337 0.072
O 0.583 0.833 0.580
O 0.650 0.088 0.966
O 0.653 0.591 0.464
O 0.656 0.375 0.301
O 0.668 0.869 0.799
O 0.745 0.117 0.237
O 0.746 0.617 0.739
O 0.769 0.317 0.865
O 0.773 0.822 0.374
O 0.907 0.314 0.133
O 0.929 0.372 0.587
O 0.934 0.868 0.084
O 0.935 0.095 0.649
O 0.954 0.595 0.125
O 0.974 0.811 0.570
CELL_PARAMETERS angstrom
7.243 0.000 0.000
1.985 8.816 0.000
0.737 1.362 9.800
```

Values from the calculation:
* final energy: -8.312 eV/atom
* E (MP2020): -8.7239 eV per atom
* M_tot: 0.000 μB/f.u.
* V: 626 Å³ per cell
* SG: P-1



- Among the records above, which one has the lowest final energy?
  DyBO3